VASP calculation (GGA+U) on a relaxed Nd4W3O15 crystal.

The structure in POSCAR format:
```
Nd4W3O15
1.0
7.1593 -7.1672 0.0000
7.1593 7.1672 0.0000
-0.0709 0.0000 12.3884
Nd W O
16 12 60
direct
0.0000 0.0000 0.0000 Nd
0.0126 0.5159 0.9986 Nd
0.2358 0.7642 0.5000 Nd
0.2366 0.0339 0.2683 Nd
0.2384 0.4988 0.2637 Nd
0.4691 0.5309 0.0000 Nd
0.4721 0.2652 0.7616 Nd
0.4841 0.9874 0.0014 Nd
0.5012 0.7616 0.7363 Nd
0.5047 0.0356 0.5026 Nd
0.5059 0.4941 0.5000 Nd
0.7333 0.2667 0.0000 Nd
0.7348 0.5279 0.2384 Nd
0.9644 0.4953 0.4974 Nd
0.9658 0.0342 0.5000 Nd
0.9661 0.7634 0.7317 Nd
0.0388 0.7644 0.2697 W
0.2342 0.2651 0.5451 W
0.2346 0.5689 0.7276 W
0.2356 0.9612 0.7303 W
0.2366 0.2678 0.0496 W
0.4311 0.7654 0.2724 W
0.5450 0.2604 0.2314 W
0.7322 0.7634 0.9504 W
0.7349 0.7658 0.4549 W
0.7390 0.0724 0.7699 W
0.7396 0.4550 0.7686 W
0.9276 0.2610 0.2301 W
0.0306 0.6265 0.1682 O
0.0395 0.9069 0.1729 O
0.0471 0.2665 0.5504 O
0.0835 0.2748 0.9728 O
0.0906 0.8964 0.3833 O
0.0921 0.5707 0.8241 O
0.0932 0.6306 0.3818 O
0.0931 0.9605 0.8271 O
0.1041 0.6203 0.6150 O
0.1036 0.9094 0.6167 O
0.1146 0.2801 0.1927 O
0.2348 0.7599 0.2445 O
0.2365 0.0779 0.0681 O
0.2399 0.4642 0.0646 O
0.2401 0.7652 0.7555 O
0.2415 0.1213 0.4526 O
0.2433 0.4038 0.4481 O
0.2471 0.3909 0.6801 O
0.2477 0.1382 0.6807 O
0.3565 0.2790 0.1886 O
0.3644 0.2734 0.9446 O
0.3676 0.6220 0.6162 O
0.3694 0.9068 0.6182 O
0.3741 0.5619 0.8275 O
0.3735 0.9694 0.8318 O
0.3780 0.6324 0.3838 O
0.3797 0.8959 0.3850 O
0.4293 0.9079 0.1759 O
0.4315 0.2655 0.5599 O
0.4381 0.6259 0.1725 O
0.4956 0.1388 0.3346 O
0.5351 0.4154 0.3235 O
0.5358 0.7601 0.9354 O
0.5759 0.1453 0.1135 O
0.5841 0.0671 0.6773 O
0.5846 0.4649 0.6765 O
0.5938 0.4011 0.1189 O
0.5962 0.7567 0.5519 O
0.5989 0.1259 0.8813 O
0.5989 0.4062 0.8811 O
0.6091 0.7529 0.3199 O
0.7199 0.8854 0.8073 O
0.7210 0.6435 0.8114 O
0.7252 0.9165 0.0272 O
0.7266 0.6356 0.0554 O
0.7335 0.9529 0.4496 O
0.7345 0.5685 0.4401 O
0.7347 0.2630 0.2660 O
0.7370 0.2653 0.7340 O
0.8555 0.1088 0.8859 O
0.8547 0.4241 0.8865 O
0.8612 0.5044 0.6654 O
0.8616 0.0259 0.6662 O
0.8618 0.7523 0.3193 O
0.8741 0.4011 0.1187 O
0.8787 0.7585 0.5474 O
0.8912 0.1445 0.1141 O
0.9221 0.7635 0.9319 O
0.9329 0.4159 0.3227 O
0.9741 0.1384 0.3338 O
```

Output
As for the formation energy from the elements: -3.017 eV per atom. Its energy above the lowest structure with this stoichiometry is 0 meV per atom. As for the calculated volume: 1271.3 Å³ per cell.



VASP calculation (GGA+U) on a relaxed Nd2WO6 crystal.

The structure in POSCAR format:
```
Nd2WO6
1.0
5.4512 0.0000 0.0000
0.0000 9.4249 0.0000
0.0000 0.0000 10.2917
Nd W O
8 4 24
direct
0.0229 0.1038 0.4623 Nd
0.0346 0.2187 0.8682 Nd
0.4654 0.7813 0.3682 Nd
0.4771 0.8962 0.9623 Nd
0.5229 0.3962 0.5377 Nd
0.5346 0.2813 0.1318 Nd
0.9654 0.7187 0.6318 Nd
0.9771 0.6038 0.0377 Nd
0.0409 0.4962 0.3521 W
0.4591 0.5038 0.8521 W
0.5409 0.0038 0.6479 W
0.9591 0.9962 0.1479 W
0.0753 0.8482 0.0276 O
0.1700 0.9507 0.2888 O
0.1835 0.6382 0.2405 O
0.1899 0.6347 0.8211 O
0.2230 0.1122 0.0652 O
0.2490 0.5884 0.4914 O
0.2510 0.4116 0.9914 O
0.2770 0.8878 0.5652 O
0.3101 0.3653 0.3211 O
0.3165 0.3618 0.7405 O
0.3300 0.0493 0.7888 O
0.4247 0.1518 0.5276 O
0.5753 0.6518 0.9724 O
0.6700 0.5493 0.7112 O
0.6835 0.8618 0.7595 O
0.6899 0.8653 0.1789 O
0.7230 0.3878 0.9348 O
0.7490 0.9116 0.5087 O
0.7510 0.0884 0.0086 O
0.7770 0.6122 0.4348 O
0.8101 0.1347 0.6789 O
0.8165 0.1382 0.2595 O
0.8300 0.4507 0.2112 O
0.9247 0.3482 0.4724 O
```

Output
As for the formation energy from the elements: -3.238 eV per atom. Its energy above the lowest structure with this stoichiometry is 0 meV per atom. As for the calculated volume: 528.8 Å³ per cell.



VASP calculation (GGA+U) on a relaxed Ni9O13 crystal.

The structure in POSCAR format:
```
Ni9O13
1.0
4.9484 -1.4632 0.0000
4.9484 1.4632 0.0000
-2.6597 0.0000 15.5831
Ni O
9 13
direct
0.0000 0.0000 0.0000 Ni
0.1489 0.1489 0.5457 Ni
0.2501 0.2501 0.9124 Ni
0.4374 0.4374 0.6243 Ni
0.4969 0.4969 0.8346 Ni
0.5031 0.5031 0.1654 Ni
0.5626 0.5626 0.3757 Ni
0.7499 0.7499 0.0876 Ni
0.8511 0.8511 0.4543 Ni
0.0662 0.0662 0.6490 O
0.1091 0.1091 0.8073 O
0.1163 0.1163 0.1141 O
0.1996 0.1996 0.4278 O
0.3746 0.3746 0.0439 O
0.3804 0.3804 0.7310 O
0.5000 0.5000 0.5000 O
0.6196 0.6196 0.2690 O
0.6254 0.6254 0.9561 O
0.8004 0.8004 0.5722 O
0.8837 0.8837 0.8859 O
0.8909 0.8909 0.1927 O
0.9338 0.9338 0.3510 O
```

Output
As for the formation energy from the elements: -0.800 eV per atom. As for the calculated volume: 225.7 Å³ per cell.



VASP calculation (GGA+U) on a relaxed Ni9O10 crystal.

The structure in POSCAR format:
```
Ni9O10
1.0
5.0972 0.0000 0.0000
-1.7124 5.6378 0.0000
-0.9133 -1.8217 6.3261
Ni O
9 10
direct
0.0000 0.0000 0.0000 Ni
0.1965 0.8936 0.3934 Ni
0.2022 0.4029 0.3923 Ni
0.3861 0.7934 0.8004 Ni
0.4038 0.3040 0.8070 Ni
0.5962 0.6960 0.1930 Ni
0.6139 0.2066 0.1996 Ni
0.7978 0.5971 0.6077 Ni
0.8035 0.1064 0.6066 Ni
0.0982 0.9487 0.6995 O
0.1083 0.4480 0.6828 O
0.3214 0.8786 0.1106 O
0.3233 0.3399 0.1059 O
0.4992 0.2466 0.5054 O
0.5008 0.7534 0.4946 O
0.6767 0.6601 0.8941 O
0.6786 0.1214 0.8894 O
0.8917 0.5520 0.3172 O
0.9018 0.0513 0.3005 O
```

Output
As for the formation energy from the elements: -1.108 eV per atom. As for the calculated volume: 181.8 Å³ per cell.



VASP calculation (GGA+U) on a relaxed Ni3O4 crystal.

The structure in POSCAR format:
```
Ni3O4
1.0
0.0000 5.7584 0.0000
5.0051 2.8792 -0.9851
-2.4973 -2.8792 -4.4480
Ni O
6 8
direct
0.5000 0.5000 0.0000 Ni
0.5000 0.5000 0.5000 Ni
0.0000 0.5000 0.5000 Ni
0.0000 0.5000 0.0000 Ni
0.0000 0.0000 0.0000 Ni
0.5000 0.0000 0.0000 Ni
0.2500 0.7058 0.2059 O
0.7500 0.7058 0.2059 O
0.2500 0.2942 0.7941 O
0.7500 0.2942 0.7941 O
0.2271 0.2729 0.2271 O
0.7271 0.2729 0.2271 O
0.2729 0.7271 0.7729 O
0.7729 0.7271 0.7729 O
```

Output
As for the formation energy from the elements: -1.047 eV per atom. Its energy above the lowest structure with this stoichiometry is 0 meV per atom. As for the calculated volume: 142.4 Å³ per cell.



VASP calculation (GGA+U) on a relaxed Ni6O7 crystal.

The structure in POSCAR format:
```
Ni6O7
1.0
5.0720 0.0000 0.0000
1.6855 5.5681 0.0000
0.9707 -0.2733 8.8769
Ni O
12 14
direct
0.0000 0.0000 0.0000 Ni
0.0000 0.5000 0.0000 Ni
0.1453 0.2121 0.7184 Ni
0.2741 0.9321 0.4315 Ni
0.2851 0.4288 0.4297 Ni
0.4234 0.1468 0.1474 Ni
0.4404 0.6359 0.1459 Ni
0.5596 0.3641 0.8541 Ni
0.5766 0.8532 0.8526 Ni
0.7149 0.5712 0.5703 Ni
0.7259 0.0679 0.5685 Ni
0.8547 0.7879 0.2816 Ni
0.0087 0.2312 0.5140 O
0.1650 0.4767 0.2116 O
0.1649 0.9387 0.2023 O
0.2904 0.1832 0.9256 O
0.3023 0.6694 0.9395 O
0.4576 0.3640 0.6331 O
0.4631 0.9047 0.6380 O
0.5369 0.0953 0.3620 O
0.5424 0.6360 0.3669 O
0.6977 0.3306 0.0605 O
0.7096 0.8168 0.0744 O
0.8351 0.0613 0.7977 O
0.8350 0.5233 0.7884 O
0.9913 0.7688 0.4860 O
```

Output
As for the formation energy from the elements: -1.069 eV per atom. As for the calculated volume: 250.7 Å³ per cell.



Number 1: E -7.9514 eV per atom. Number 2: E -8.0847 eV per atom. Number 3: E -4.6425 eV per atom. Number 4: E -4.8852 eV per atom. Number 5: E -4.8698 eV per atom. Number 6: E -4.8583 eV per atom.